First-principles (PBE) data for a relaxed structure of K3Cu5O4, as listed in Materials Project.

Calculated formation energy (meV/atom): -1098

Geometry as CIF:
```
data_K3Cu5O4
_symmetry_space_group_name_H-M 'P 1 21/c 1'
_symmetry_Int_Tables_number 14
_cell_length_a 9.5473
_cell_length_b 7.3242
_cell_length_c 14.0714
_cell_angle_alpha 90.00
_cell_angle_beta 106.91
_cell_angle_gamma 90.00
loop_
_symmetry_equiv_pos_as_xyz
'x,y,z'
'-x,-y,-z'
'-x,y+1/2,-z+1/2'
'x,-y+1/2,z+1/2'
loop_
_atom_site_label
_atom_site_fract_x
_atom_site_fract_y
_atom_site_fract_z
K1 0.0991 0.1621 0.0915
K2 0.2676 0.7258 0.0819
K3 0.3269 0.0818 0.8958
Cu1 0.0631 0.0866 0.3838
Cu2 0.0627 0.6656 0.7442
Cu3 0.3047 0.5501 0.8718
Cu4 0.4348 0.0518 0.2340
Cu5 0.4490 0.1941 0.6147
O1 0.0031 0.1788 0.8916
O2 0.1309 0.6524 0.8827
O3 0.3871 0.0674 0.0978
O4 0.4836 0.0464 0.3711
```



First-principles (PBE) data for a relaxed structure of Lu2O3, as listed in Materials Project.

Calculated formation energy (meV/atom): -4124

Geometry as CIF:
```
data_Lu2O3
_symmetry_space_group_name_H-M 'I a -3'
_symmetry_Int_Tables_number 206
_symmetry_space_group_name_Hall '-I 2b 2c 3'
_cell_length_a 10.3648
_cell_length_b 10.3648
_cell_length_c 10.3648
_cell_angle_alpha 90.00
_cell_angle_beta 90.00
_cell_angle_gamma 90.00
loop_
_atom_site_label
_atom_site_fract_x
_atom_site_fract_y
_atom_site_fract_z
Lu1 0.0000 0.2500 0.4665
Lu2 0.2500 0.2500 0.2500
O1 0.1087 0.1525 0.6199
```



First-principles (PBE) data for a relaxed structure of PrS3, as listed in Materials Project.

Calculated formation energy (meV/atom): -1192

Geometry as CIF:
```
data_PrS3
_symmetry_space_group_name_H-M 'P 63/m m c'
_symmetry_Int_Tables_number 194
_symmetry_space_group_name_Hall '-P 6c 2c'
_cell_length_a 5.7886
_cell_length_b 5.7886
_cell_length_c 5.6899
_cell_angle_alpha 90.00
_cell_angle_beta 90.00
_cell_angle_gamma 120.00
loop_
_atom_site_label
_atom_site_fract_x
_atom_site_fract_y
_atom_site_fract_z
Pr1 0.3333 0.6667 0.2500
S1 0.1768 0.3536 0.7500
```



First-principles (PBE) data for a relaxed structure of CsH5O3, as listed in Materials Project.

Calculated formation energy (meV/atom): -1402

Geometry as CIF:
```
data_CsH5O3
_symmetry_space_group_name_H-M 'P c a 21'
_symmetry_Int_Tables_number 29
_cell_length_a 13.3579
_cell_length_b 6.8388
_cell_length_c 9.2623
_cell_angle_alpha 90.00
_cell_angle_beta 90.00
_cell_angle_gamma 90.00
loop_
_symmetry_equiv_pos_as_xyz
'x,y,z'
'-x,-y,z+1/2'
'-x+1/2,y,z+1/2'
'x+1/2,-y,z'
loop_
_atom_site_label
_atom_site_fract_x
_atom_site_fract_y
_atom_site_fract_z
Cs1 0.0758 0.0674 0.0000
Cs2 0.1569 0.3945 0.3880
H1 0.0327 0.7387 0.2413
H2 0.0462 0.5464 0.7109
H3 0.0729 0.5876 0.0683
H4 0.1103 0.5885 0.9061
H5 0.1216 0.2324 0.6847
H6 0.1285 0.7256 0.6919
H7 0.1773 0.8619 0.4557
H8 0.1962 0.8656 0.2825
H9 0.2035 0.0563 0.6641
H10 0.2259 0.7173 0.0852
O1 0.0104 0.3215 0.6681
O2 0.0638 0.6840 0.7435
O3 0.1292 0.5353 0.0029
O4 0.1437 0.8838 0.3580
O5 0.1951 0.1945 0.6956
O6 0.2259 0.8171 0.6182
```



First-principles (PBE) data for a relaxed structure of PuSbTe, as listed in Materials Project.

Calculated formation energy (meV/atom): -997

Geometry as CIF:
```
data_PuSbTe
_symmetry_space_group_name_H-M 'P 4/n m m'
_symmetry_Int_Tables_number 129
_cell_length_a 4.3354
_cell_length_b 4.3354
_cell_length_c 9.0203
_cell_angle_alpha 90.00
_cell_angle_beta 90.00
_cell_angle_gamma 90.00
loop_
_symmetry_equiv_pos_as_xyz
'x,y,z'
'-x,-y,-z'
'-y+1/2,x,z'
'y+1/2,-x,-z'
'-x+1/2,-y+1/2,z'
'x+1/2,y+1/2,-z'
'y,-x+1/2,z'
'-y,x+1/2,-z'
'x+1/2,-y,-z'
'-x+1/2,y,z'
'-y,-x,-z'
'y,x,z'
'-x,y+1/2,-z'
'x,-y+1/2,z'
'y+1/2,x+1/2,-z'
'-y+1/2,-x+1/2,z'
loop_
_atom_site_label
_atom_site_fract_x
_atom_site_fract_y
_atom_site_fract_z
Pu1 0.2500 0.2500 0.2206
Sb1 0.2500 0.7500 0.5000
Te1 0.2500 0.2500 0.8618
```



First-principles (PBE) data for a relaxed structure of Sr2LiTl, as listed in Materials Project.

Calculated formation energy (meV/atom): -236

Geometry as CIF:
```
data_Sr2LiTl
_symmetry_space_group_name_H-M 'F m -3 m'
_symmetry_Int_Tables_number 225
_symmetry_space_group_name_Hall '-F 4 2 3'
_cell_length_a 8.2231
_cell_length_b 8.2231
_cell_length_c 8.2231
_cell_angle_alpha 90.00
_cell_angle_beta 90.00
_cell_angle_gamma 90.00
loop_
_atom_site_label
_atom_site_fract_x
_atom_site_fract_y
_atom_site_fract_z
Sr1 0.2500 0.2500 0.2500
Li1 0.0000 0.0000 0.0000
Tl1 0.0000 0.0000 0.5000
```



First-principles (PBE) data for a relaxed structure of Ba5Al5Pb, as listed in Materials Project.

Calculated formation energy (meV/atom): -331

Geometry as CIF:
```
data_Ba5Al5Pb
_symmetry_space_group_name_H-M 'P -6 m 2'
_symmetry_Int_Tables_number 187
_symmetry_space_group_name_Hall 'P -6 2'
_cell_length_a 6.1180
_cell_length_b 6.1180
_cell_length_c 11.2235
_cell_angle_alpha 90.00
_cell_angle_beta 90.00
_cell_angle_gamma 120.00
loop_
_atom_site_label
_atom_site_fract_x
_atom_site_fract_y
_atom_site_fract_z
Ba1 0.0000 0.0000 0.0000
Ba2 0.3333 0.6667 0.2009
Ba3 0.6667 0.3333 0.3294
Al1 0.0000 0.0000 0.3233
Al2 0.1784 0.3569 0.5000
Pb1 0.6667 0.3333 0.0000
```



First-principles (PBE) data for a relaxed structure of BaEu2ZnO5, as listed in Materials Project.

Calculated formation energy (meV/atom): -2786

Geometry as CIF:
```
data_BaEu2ZnO5
_symmetry_space_group_name_H-M 'P n m a'
_symmetry_Int_Tables_number 62
_cell_length_a 12.6868
_cell_length_b 5.8428
_cell_length_c 7.3041
_cell_angle_alpha 90.00
_cell_angle_beta 90.00
_cell_angle_gamma 90.00
loop_
_symmetry_equiv_pos_as_xyz
'x,y,z'
'-x,-y,-z'
'-x+1/2,-y,z+1/2'
'x+1/2,y,-z+1/2'
'x+1/2,-y+1/2,-z+1/2'
'-x+1/2,y+1/2,z+1/2'
'-x,y+1/2,-z'
'x,-y+1/2,z'
loop_
_atom_site_label
_atom_site_fract_x
_atom_site_fract_y
_atom_site_fract_z
Ba1 0.0994 0.2500 0.0763
Eu1 0.0723 0.7500 0.3945
Eu2 0.2101 0.2500 0.6177
Zn1 0.1500 0.7500 0.8056
O1 0.0640 0.5077 0.6717
O2 0.0985 0.7500 0.0664
O3 0.2262 0.0052 0.3532
```



What did the fourth record say?
First-principles (PBE) data for a relaxed structure of CsH5O3, as listed in Materials Project.

Calculated formation energy (meV/atom): -1402

Geometry as CIF:
```
data_CsH5O3
_symmetry_space_group_name_H-M 'P c a 21'
_symmetry_Int_Tables_number 29
_cell_length_a 13.3579
_cell_length_b 6.8388
_cell_length_c 9.2623
_cell_angle_alpha 90.00
_cell_angle_beta 90.00
_cell_angle_gamma 90.00
loop_
_symmetry_equiv_pos_as_xyz
'x,y,z'
'-x,-y,z+1/2'
'-x+1/2,y,z+1/2'
'x+1/2,-y,z'
loop_
_atom_site_label
_atom_site_fract_x
_atom_site_fract_y
_atom_site_fract_z
Cs1 0.0758 0.0674 0.0000
Cs2 0.1569 0.3945 0.3880
H1 0.0327 0.7387 0.2413
H2 0.0462 0.5464 0.7109
H3 0.0729 0.5876 0.0683
H4 0.1103 0.5885 0.9061
H5 0.1216 0.2324 0.6847
H6 0.1285 0.7256 0.6919
H7 0.1773 0.8619 0.4557
H8 0.1962 0.8656 0.2825
H9 0.2035 0.0563 0.6641
H10 0.2259 0.7173 0.0852
O1 0.0104 0.3215 0.6681
O2 0.0638 0.6840 0.7435
O3 0.1292 0.5353 0.0029
O4 0.1437 0.8838 0.3580
O5 0.1951 0.1945 0.6956
O6 0.2259 0.8171 0.6182
```